(1)
Er5MgMo2O12, optimized geometry, DFT PBE+U; total DFT energy (no corrections) = -7.772 eV per atom; magnetic moment = 0.250 μB/atom; space group = P1, No. 1; offset from the most stable computed form = 0.0911 eV/atom; calculated formation energy = -64.6 eV per formula unit
1.0
5.8879 0.0000 0.0000
-2.9411 6.2640 0.0000
-0.0002 -2.1986 7.1411
Er Mg Mo O
5 1 2 12
direct
0.0000 0.0000 0.0000
0.0006 0.0012 0.4795
0.2995 0.5998 0.1257
0.6187 0.2377 0.2764
0.6283 0.2571 0.8414
0.4763 0.9521 0.4968
0.0626 0.6018 0.6391
0.5390 0.6017 0.6390
0.2182 0.9152 0.2268
0.2328 0.9561 0.7205
0.2922 0.5861 0.8370
0.3091 0.6198 0.4342
0.3958 0.2986 0.0701
0.4041 0.2513 0.5429
0.6960 0.9150 0.2273
0.7227 0.9562 0.7203
0.8078 0.6150 0.4506
0.8089 0.6173 0.8376
0.8478 0.2518 0.5429
0.9023 0.2984 0.0701

(2)
Er5MgMo2O12, optimized geometry, DFT PBE+U; total DFT energy (no corrections) = -7.863 eV per atom; magnetic moment = 0.250 μB/atom; space group = C2/m, No. 12; offset from the most stable computed form = 0.0000 eV/atom; calculated formation energy = -66.4 eV per formula unit
1.0
6.2045 -2.9994 0.0000
6.2045 2.9994 0.0000
-2.0642 0.0000 6.9610
Er Mg Mo O
5 1 2 12
direct
0.0000 0.0000 0.0000
0.2887 0.2887 0.1428
0.2988 0.2988 0.6409
0.7012 0.7012 0.3591
0.7113 0.7113 0.8572
0.5000 0.5000 0.0000
0.2374 0.7626 0.5000
0.7626 0.2374 0.5000
0.0110 0.0110 0.3034
0.0938 0.5529 0.3948
0.1285 0.5942 0.9418
0.4058 0.8715 0.0582
0.4471 0.9062 0.6052
0.4955 0.4955 0.7030
0.5045 0.5045 0.2970
0.5529 0.0938 0.3948
0.5942 0.1285 0.9418
0.8715 0.4058 0.0582
0.9062 0.4471 0.6052
0.9890 0.9890 0.6966

(3)
Er8Mn3Mo5O28, optimized geometry, DFT PBE+U; total DFT energy (no corrections) = -7.911 eV per atom; magnetic moment = 0.432 μB/atom; space group = C2, No. 5; calculated formation energy = -131.5 eV per formula unit
1.0
6.4423 -3.7576 0.0000
6.4423 3.7576 0.0000
-2.0994 0.0000 11.4419
Er Mn Mo O
8 3 5 28
direct
0.1175 0.1175 0.2258
0.1338 0.6264 0.2852
0.3736 0.8662 0.7148
0.3915 0.3634 0.7430
0.6353 0.1243 0.2498
0.6366 0.6085 0.2570
0.8757 0.3647 0.7502
0.8825 0.8825 0.7742
0.5518 0.4482 0.5000
0.7207 0.2793 0.0000
0.9897 0.0103 0.5000
0.0022 0.4993 0.5097
0.2664 0.2350 0.9955
0.2711 0.7289 0.0000
0.5007 0.9978 0.4903
0.7650 0.7336 0.0045
0.0123 0.0172 0.6691
0.0207 0.5558 0.6908
0.0698 0.7029 0.4780
0.1776 0.0370 0.0304
0.2526 0.1770 0.8232
0.2532 0.3229 0.1603
0.2568 0.7350 0.8338
0.2650 0.7432 0.1662
0.2971 0.9302 0.5220
0.3037 0.3107 0.5421
0.3682 0.4248 0.9627
0.4442 0.9794 0.3092
0.4785 0.4615 0.3290
0.5385 0.5215 0.6710
0.5694 0.0441 0.0395
0.5748 0.0034 0.6662
0.5752 0.6318 0.0373
0.6746 0.1079 0.4618
0.6771 0.7468 0.8397
0.6893 0.6963 0.4579
0.7214 0.2238 0.8277
0.7762 0.2786 0.1723
0.8230 0.7474 0.1768
0.8921 0.3254 0.5382
0.9559 0.4306 0.9605
0.9630 0.8224 0.9696
0.9828 0.9877 0.3309
0.9966 0.4252 0.3338

(4)
Er2Mn2O7, optimized geometry, DFT PBE+U; total DFT energy (no corrections) = -7.820 eV per atom; space group = Fd-3m, No. 227; calculated formation energy = -32.1 eV per formula unit
1.0
0.0000 4.9909 4.9909
4.9909 0.0000 4.9909
4.9909 4.9909 0.0000
Er Mn O
4 4 14
direct
0.0000 0.0000 0.0000
0.0000 0.0000 0.5000
0.0000 0.5000 0.0000
0.5000 0.0000 0.0000
0.0000 0.5000 0.5000
0.5000 0.0000 0.5000
0.5000 0.5000 0.0000
0.5000 0.5000 0.5000
0.1250 0.1250 0.1250
0.1683 0.1683 0.5817
0.1683 0.5817 0.1683
0.1683 0.5817 0.5817
0.4183 0.4183 0.8317
0.4183 0.8317 0.4183
0.4183 0.8317 0.8317
0.5817 0.1683 0.1683
0.5817 0.1683 0.5817
0.5817 0.5817 0.1683
0.8317 0.4183 0.4183
0.8317 0.4183 0.8317
0.8317 0.8317 0.4183
0.8750 0.8750 0.8750

(5)
Na5ErMo4O16, optimized geometry, DFT PBE+U; total DFT energy (no corrections) = -6.564 eV per atom; magnetic moment = 0.001 μB/atom; space group = I4_1/a, No. 88; calculated formation energy = -60.7 eV per formula unit
1.0
-5.7688 5.7688 5.7691
5.7688 -5.7688 5.7691
5.7688 5.7688 -5.7691
Na Er Mo O
10 2 8 32
direct
0.1109 0.0364 0.8344
0.2236 0.3891 0.4256
0.2980 0.7236 0.3344
0.3750 0.1250 0.2500
0.4636 0.7980 0.0744
0.5364 0.2020 0.9256
0.6250 0.8750 0.7500
0.7020 0.2764 0.6656
0.7764 0.6109 0.5744
0.8891 0.9636 0.1656
0.1250 0.3750 0.7500
0.8750 0.6250 0.2500
0.0439 0.7052 0.9759
0.2052 0.7294 0.6613
0.2294 0.0680 0.5241
0.4320 0.4561 0.1613
0.5680 0.5439 0.8387
0.7706 0.9320 0.4759
0.7948 0.2706 0.3387
0.9561 0.2948 0.0241
0.0088 0.3541 0.4897
0.0124 0.8018 0.8573
0.0191 0.5088 0.1547
0.0730 0.2744 0.9211
0.1459 0.1356 0.6547
0.1467 0.8481 0.4211
0.1947 0.1230 0.3670
0.2256 0.6467 0.7987
0.2560 0.8277 0.1330
0.3018 0.9445 0.7894
0.3277 0.6947 0.5716
0.3449 0.4876 0.2894
0.3481 0.4270 0.7013
0.3644 0.5191 0.0103
0.3770 0.2440 0.0716
0.4445 0.1551 0.6427
0.5555 0.8449 0.3573
0.6230 0.7560 0.9284
0.6356 0.4809 0.9897
0.6519 0.5730 0.2987
0.6551 0.5124 0.7106
0.6723 0.3053 0.4284
0.6982 0.0555 0.2106
0.7440 0.1723 0.8670
0.7744 0.3533 0.2013
0.8053 0.8770 0.6330
0.8533 0.1519 0.5789
0.8541 0.8644 0.3453
0.9270 0.7256 0.0789
0.9809 0.4912 0.8453
0.9876 0.1982 0.1427
0.9912 0.6459 0.5103

(6)
NaErMo2O8, optimized geometry, DFT PBE+U; total DFT energy (no corrections) = -7.119 eV per atom; magnetic moment = 0.000 μB/atom; space group = I-4, No. 82; calculated formation energy = -30.2 eV per formula unit
1.0
-2.6140 2.6140 5.6756
2.6140 -2.6140 5.6756
2.6140 2.6140 -5.6756
Na Er Mo O
1 1 2 8
direct
0.0000 0.0000 0.0000
0.7500 0.2500 0.5000
0.2500 0.7500 0.5000
0.5000 0.5000 0.0000
0.0045 0.4211 0.0889
0.0844 0.9955 0.4166
0.1644 0.5560 0.9005
0.3322 0.9156 0.9111
0.4440 0.3444 0.6084
0.5789 0.6678 0.5834
0.6556 0.2640 0.0995
0.7360 0.8356 0.3916